A geometry-optimized GePdS3 structure, computed with r²SCAN.

Unit cell a=14.7606 b=3.4715 c=9.3212 alpha=90.00 beta=107.21 gamma=90.00
Space group C2/m (No. 12)
Asymmetric unit:
Ge 0.0841 0.0000 0.3007
Pd 0.1100 0.5000 0.9709
S 0.0739 0.0000 0.7950
S 0.1275 0.5000 0.4564
S 0.1711 0.0000 0.1405

Results
- V (Å³ per atom) = 22.8
- E (eV per atom) = -12.614
- calculated density (g/cm3) = 4.01

A geometry-optimized SmGe2Pd structure, computed with r²SCAN.

Unit cell a=17.0414 b=8.7709 c=4.3863 alpha=90.00 beta=104.82 gamma=90.00
Space group C2/m (No. 12)
Asymmetric unit:
Sm 0.0000 0.2411 0.0000
Sm 0.2025 0.0000 0.2025
Ge 0.0740 0.0000 0.5739
Ge 0.0740 0.5000 0.5739
Ge 0.1962 0.3497 0.1959
Pd 0.1489 0.2523 0.6489

Results
- V (Å³ per atom) = 19.8
- E (eV per atom) = -20.943
- calculated density (g/cm3) = 8.43

A geometry-optimized Sm2Ge5Pd3 structure, computed with r²SCAN.

Unit cell a=13.4413 b=10.1743 c=6.1804 alpha=90.00 beta=117.24 gamma=90.00
Space group C2/c (No. 15)
Asymmetric unit:
Sm 0.1298 0.2308 0.1296
Ge 0.0000 0.0006 0.2500
Ge 0.1063 0.3436 0.6062
Ge 0.2244 0.5005 0.4745
Pd 0.0000 0.4999 0.2500
Pd 0.1407 0.1089 0.6406

Results
- V (Å³ per atom) = 18.8
- E (eV per atom) = -20.537
- calculated density (g/cm3) = 8.69

A geometry-optimized Sm3Ge6Pd20 structure, computed with r²SCAN.

Unit cell a=12.4618 b=12.4618 c=12.4618 alpha=90.00 beta=90.00 gamma=90.00
Space group Fm-3m (No. 225)
Asymmetric unit:
Sm 0.0000 0.0000 0.0000
Sm 0.2500 0.2500 0.2500
Ge 0.0000 0.0000 0.2675
Pd 0.0000 0.1741 0.1741
Pd 0.1172 0.1172 0.3828

Results
- V (Å³ per atom) = 16.7
- E (eV per atom) = -22.459
- calculated density (g/cm3) = 10.35

A geometry-optimized SrGe3Pd structure, computed with r²SCAN.

Unit cell a=4.4816 b=4.4816 c=10.2896 alpha=90.00 beta=90.00 gamma=90.00
Space group I4mm (No. 107)
Asymmetric unit:
Sr 0.0000 0.0000 0.0000
Ge 0.0000 0.0000 0.4011
Ge 0.0000 0.5000 0.2546
Pd 0.0000 0.0000 0.6445

Results
- V (Å³ per atom) = 20.7
- E (eV per atom) = -16.503
- calculated density (g/cm3) = 6.62

A geometry-optimized TbGePd2 structure, computed with r²SCAN.

Unit cell a=7.4003 b=7.0621 c=5.5961 alpha=90.00 beta=90.00 gamma=90.00
Space group Pnma (No. 62)
Asymmetric unit:
Tb 0.0296 0.2500 0.1472
Ge 0.1212 0.7500 0.3540
Pd 0.1810 0.0517 0.5875

Results
- V (Å³ per atom) = 18.3
- E (eV per atom) = -23.708
- calculated density (g/cm3) = 10.09

A geometry-optimized TbGe2Pd2 structure, computed with r²SCAN.

Unit cell a=4.2515 b=4.2515 c=10.0915 alpha=90.00 beta=90.00 gamma=90.00
Space group I4/mmm (No. 139)
Asymmetric unit:
Tb 0.0000 0.0000 0.0000
Ge 0.0000 0.0000 0.3801
Pd 0.0000 0.5000 0.2500

Results
- V (Å³ per atom) = 18.2
- E (eV per atom) = -21.826
- calculated density (g/cm3) = 9.41

A geometry-optimized Tm3Ge4Pd4 structure, computed with r²SCAN.

Unit cell a=4.1164 b=7.0382 c=13.7658 alpha=90.00 beta=90.00 gamma=90.00
Space group Immm (No. 71)
Asymmetric unit:
Tm 0.0000 0.0000 0.0000
Tm 0.0000 0.5000 0.1253
Ge 0.0000 0.0000 0.2189
Ge 0.0000 0.1881 0.5000
Pd 0.0000 0.2991 0.3246

Results
- V (Å³ per atom) = 18.1
- E (eV per atom) = -23.921
- calculated density (g/cm3) = 10.18